(1)
Here is crystalline Ca3Cu2Cl2O4 at its relaxed geometry from the Materials Project database. Energies are from GGA-PBE.

Calculated formation energy in eV/atom: -2.202
Total DFT energy (no corrections) in Ry per atom: -0.39539
Total magnetization in Bohr magnetons per cell: 0.0

CIF file:
```
data_Ca3Cu2Cl2O4
_chemical_formula_sum 'Ca6 Cu4 Cl4 O8'
_space_group_name_H-M_alt 'I 4/m m m'
_space_group_IT_number 139
_space_group_name_Hall '-I 4 2'
_cell_length_a 3.877
_cell_length_b 3.877
_cell_length_c 21.676
_cell_angle_alpha 90.00
_cell_angle_beta 90.00
_cell_angle_gamma 90.00
loop_
_atom_site_label
_atom_site_type_symbol
_atom_site_fract_x
_atom_site_fract_y
_atom_site_fract_z
_atom_site_occupancy
Ca1 Ca 0.000 0.000 0.000 1
Ca2 Ca 0.000 0.000 0.147 1
Cu1 Cu 0.000 0.000 0.429 1
Cl1 Cl 0.000 0.000 0.299 1
O1 O 0.000 0.500 0.075 1
```

---

(2)
Here is crystalline Na2Zr8Si5S7O48 at its relaxed geometry from the Materials Project database. Energies are from GGA-PBE.

Calculated formation energy in eV/atom: -2.838
Total DFT energy (no corrections) in Ry per atom: -0.55680
Total magnetization in Bohr magnetons per cell: 0.0

CIF file:
```
data_Na2Zr8Si5S7O48
_chemical_formula_sum 'Na6 Zr24 Si15 S21 O144'
_space_group_name_H-M_alt 'P 1'
_space_group_IT_number 1
_space_group_name_Hall 'P 1'
_cell_length_a 9.068
_cell_length_b 15.683
_cell_length_c 23.429
_cell_angle_alpha 89.94
_cell_angle_beta 89.98
_cell_angle_gamma 89.93
loop_
_atom_site_label
_atom_site_type_symbol
_atom_site_fract_x
_atom_site_fract_y
_atom_site_fract_z
_atom_site_occupancy
Na1 Na 0.000 0.000 0.000 1
Na2 Na 0.001 0.338 0.659 1
Na3 Na 0.006 0.001 0.494 1
Na4 Na 0.498 0.500 0.995 1
Na5 Na 0.504 0.837 0.162 1
Na6 Na 0.506 0.497 0.497 1
Zr1 Zr 0.001 0.673 0.190 1
Zr2 Zr 0.003 0.335 0.515 1
Zr3 Zr 0.005 0.336 0.809 1
Zr4 Zr 0.008 0.336 0.020 1
Zr5 Zr 0.008 0.997 0.352 1
Zr6 Zr 0.016 0.674 0.974 1
Zr7 Zr 0.492 0.180 0.471 1
Zr8 Zr 0.492 0.833 0.019 1
Zr9 Zr 0.495 0.496 0.851 1
Zr10 Zr 0.496 0.837 0.519 1
Zr11 Zr 0.499 0.832 0.806 1
Zr12 Zr 0.499 0.835 0.310 1
Zr13 Zr 0.504 0.174 0.687 1
Zr14 Zr 0.506 0.174 0.977 1
Zr15 Zr 0.514 0.494 0.145 1
Zr16 Zr 0.515 0.492 0.640 1
Zr17 Zr 0.516 0.167 0.182 1
Zr18 Zr 0.516 0.497 0.349 1
Zr19 Zr 0.988 0.994 0.142 1
Zr20 Zr 0.988 0.996 0.641 1
Zr21 Zr 0.990 0.666 0.679 1
Zr22 Zr 0.993 0.002 0.846 1
Zr23 Zr 0.993 0.332 0.311 1
Zr24 Zr 0.997 0.673 0.476 1
Si1 Si 0.142 0.190 0.412 1
Si2 Si 0.145 0.813 0.081 1
Si3 Si 0.212 0.833 0.413 1
Si4 Si 0.291 0.333 0.913 1
Si5 Si 0.352 0.312 0.580 1
Si6 Si 0.362 0.690 0.912 1
Si7 Si 0.646 0.023 0.078 1
Si8 Si 0.650 0.314 0.079 1
Si9 Si 0.651 0.357 0.747 1
Si10 Si 0.705 0.001 0.745 1
Si11 Si 0.715 0.335 0.414 1
Si12 Si 0.799 0.500 0.247 1
Si13 Si 0.852 0.858 0.248 1
Si14 Si 0.853 0.813 0.579 1
Si15 Si 0.859 0.521 0.577 1
S1 S 0.146 0.146 0.746 1
S2 S 0.146 0.856 0.746 1
S3 S 0.147 0.481 0.412 1
S4 S 0.147 0.524 0.080 1
S5 S 0.212 0.503 0.746 1
S6 S 0.213 0.168 0.080 1
S7 S 0.291 0.668 0.580 1
S8 S 0.292 0.003 0.246 1
S9 S 0.356 0.355 0.246 1
S10 S 0.357 0.024 0.580 1
S11 S 0.357 0.980 0.912 1
S12 S 0.358 0.646 0.246 1
S13 S 0.645 0.690 0.413 1
S14 S 0.646 0.645 0.746 1
S15 S 0.646 0.980 0.413 1
S16 S 0.713 0.668 0.079 1
S17 S 0.791 0.168 0.579 1
S18 S 0.791 0.835 0.913 1
S19 S 0.858 0.190 0.913 1
S20 S 0.858 0.480 0.914 1
S21 S 0.859 0.146 0.246 1
O1 O 0.069 0.095 0.404 1
O2 O 0.070 0.769 0.024 1
O3 O 0.071 0.234 0.469 1
O4 O 0.077 0.232 0.754 1
O5 O 0.077 0.909 0.086 1
O6 O 0.079 0.107 0.695 1
O7 O 0.079 0.562 0.131 1
O8 O 0.080 0.438 0.071 1
O9 O 0.080 0.898 0.798 1
O10 O 0.081 0.441 0.361 1
O11 O 0.081 0.566 0.421 1
O12 O 0.081 0.771 0.739 1
O13 O 0.109 0.918 0.406 1
O14 O 0.111 0.749 0.423 1
O15 O 0.115 0.425 0.754 1
O16 O 0.117 0.092 0.087 1
O17 O 0.117 0.578 0.739 1
O18 O 0.118 0.093 0.798 1
O19 O 0.118 0.244 0.071 1
O20 O 0.118 0.751 0.135 1
O21 O 0.119 0.250 0.356 1
O22 O 0.119 0.576 0.027 1
O23 O 0.123 0.911 0.695 1
O24 O 0.126 0.427 0.464 1
O25 O 0.175 0.323 0.573 1
O26 O 0.182 0.349 0.968 1
O27 O 0.182 0.679 0.922 1
O28 O 0.183 0.322 0.857 1
O29 O 0.192 0.989 0.905 1
O30 O 0.194 0.013 0.588 1
O31 O 0.196 0.349 0.253 1
O32 O 0.198 0.655 0.239 1
O33 O 0.199 0.683 0.631 1
O34 O 0.200 0.653 0.528 1
O35 O 0.200 0.988 0.195 1
O36 O 0.201 0.016 0.297 1
O37 O 0.303 0.487 0.695 1
O38 O 0.303 0.515 0.798 1
O39 O 0.304 0.153 0.028 1
O40 O 0.304 0.183 0.131 1
O41 O 0.307 0.154 0.740 1
O42 O 0.308 0.849 0.755 1
O43 O 0.309 0.514 0.086 1
O44 O 0.311 0.491 0.405 1
O45 O 0.319 0.176 0.422 1
O46 O 0.320 0.822 0.357 1
O47 O 0.321 0.849 0.468 1
O48 O 0.324 0.823 0.072 1
O49 O 0.380 0.926 0.964 1
O50 O 0.382 0.075 0.528 1
O51 O 0.383 0.411 0.195 1
O52 O 0.383 0.594 0.298 1
O53 O 0.386 0.744 0.571 1
O54 O 0.387 0.078 0.238 1
O55 O 0.387 0.252 0.636 1
O56 O 0.387 0.592 0.588 1
O57 O 0.388 0.925 0.253 1
O58 O 0.389 0.752 0.857 1
O59 O 0.393 0.249 0.923 1
O60 O 0.395 0.418 0.906 1
O61 O 0.422 0.065 0.921 1
O62 O 0.423 0.937 0.572 1
O63 O 0.423 0.940 0.861 1
O64 O 0.424 0.061 0.631 1
O65 O 0.424 0.271 0.237 1
O66 O 0.424 0.607 0.194 1
O67 O 0.425 0.397 0.297 1
O68 O 0.426 0.408 0.587 1
O69 O 0.426 0.733 0.253 1
O70 O 0.434 0.270 0.525 1
O71 O 0.434 0.595 0.904 1
O72 O 0.434 0.736 0.968 1
O73 O 0.570 0.408 0.086 1
O74 O 0.571 0.067 0.135 1
O75 O 0.571 0.271 0.024 1
O76 O 0.575 0.403 0.802 1
O77 O 0.575 0.605 0.406 1
O78 O 0.576 0.927 0.071 1
O79 O 0.577 0.264 0.737 1
O80 O 0.577 0.609 0.695 1
O81 O 0.578 0.730 0.464 1
O82 O 0.579 0.064 0.422 1
O83 O 0.581 0.939 0.362 1
O84 O 0.582 0.733 0.755 1
O85 O 0.604 0.419 0.405 1
O86 O 0.607 0.084 0.735 1
O87 O 0.610 0.916 0.759 1
O88 O 0.613 0.251 0.421 1
O89 O 0.613 0.592 0.086 1
O90 O 0.615 0.083 0.022 1
O91 O 0.615 0.255 0.135 1
O92 O 0.618 0.745 0.073 1
O93 O 0.620 0.743 0.361 1
O94 O 0.622 0.417 0.692 1
O95 O 0.622 0.593 0.798 1
O96 O 0.623 0.924 0.464 1
O97 O 0.673 0.846 0.255 1
O98 O 0.678 0.824 0.568 1
O99 O 0.679 0.518 0.586 1
O100 O 0.685 0.517 0.300 1
O101 O 0.686 0.487 0.192 1
O102 O 0.695 0.155 0.238 1
O103 O 0.696 0.489 0.906 1
O104 O 0.698 0.179 0.920 1
O105 O 0.700 0.180 0.631 1
O106 O 0.700 0.823 0.861 1
O107 O 0.702 0.151 0.528 1
O108 O 0.702 0.851 0.964 1
O109 O 0.803 0.653 0.027 1
O110 O 0.803 0.681 0.131 1
O111 O 0.806 0.680 0.420 1
O112 O 0.808 0.988 0.406 1
O113 O 0.809 0.656 0.739 1
O114 O 0.814 0.321 0.357 1
O115 O 0.815 0.353 0.469 1
O116 O 0.820 0.015 0.801 1
O117 O 0.820 0.986 0.692 1
O118 O 0.825 0.324 0.067 1
O119 O 0.826 0.016 0.086 1
O120 O 0.830 0.345 0.756 1
O121 O 0.881 0.093 0.297 1
O122 O 0.882 0.425 0.964 1
O123 O 0.882 0.916 0.191 1
O124 O 0.884 0.242 0.861 1
O125 O 0.885 0.759 0.920 1
O126 O 0.887 0.244 0.574 1
O127 O 0.889 0.584 0.523 1
O128 O 0.889 0.755 0.636 1
O129 O 0.891 0.091 0.588 1
O130 O 0.891 0.912 0.905 1
O131 O 0.895 0.584 0.234 1
O132 O 0.899 0.417 0.256 1
O133 O 0.923 0.231 0.253 1
O134 O 0.924 0.440 0.862 1
O135 O 0.924 0.565 0.922 1
O136 O 0.925 0.107 0.195 1
O137 O 0.926 0.229 0.964 1
O138 O 0.927 0.765 0.237 1
O139 O 0.929 0.103 0.905 1
O140 O 0.930 0.903 0.302 1
O141 O 0.931 0.427 0.574 1
O142 O 0.931 0.567 0.635 1
O143 O 0.933 0.907 0.587 1
O144 O 0.934 0.770 0.524 1
```

---

(3)
Here is crystalline SrTi4SnO12 at its relaxed geometry from the Materials Project database. Energies are from GGA-PBE.

Calculated formation energy in eV/atom: -2.737
Total DFT energy (no corrections) in Ry per atom: -0.56219
Total magnetization in Bohr magnetons per cell: 3.6

CIF file:
```
data_SrTi4SnO12
_chemical_formula_sum 'Sr1 Ti4 Sn1 O12'
_space_group_name_H-M_alt 'P 4/m m m'
_space_group_IT_number 123
_space_group_name_Hall '-P 4 2'
_cell_length_a 5.511
_cell_length_b 5.511
_cell_length_c 7.778
_cell_angle_alpha 90.00
_cell_angle_beta 90.00
_cell_angle_gamma 90.00
loop_
_atom_site_label
_atom_site_type_symbol
_atom_site_fract_x
_atom_site_fract_y
_atom_site_fract_z
_atom_site_occupancy
Sr1 Sr 0.000 0.000 0.000 1
Ti1 Ti 0.000 0.500 0.250 1
Sn1 Sn 0.500 0.500 0.500 1
O1 O 0.000 0.500 0.000 1
O2 O 0.000 0.500 0.500 1
O3 O 0.253 0.253 0.254 1
```

---

(4)
Here is crystalline NdAl2Ge2 at its relaxed geometry from the Materials Project database. Energies are from GGA-PBE.

Calculated formation energy in eV/atom: -0.444
Total DFT energy (no corrections) in Ry per atom: -0.34873

CIF file:
```
data_NdAl2Ge2
_chemical_formula_sum 'Nd1 Al2 Ge2'
_space_group_name_H-M_alt 'P -3 m 1'
_space_group_IT_number 164
_space_group_name_Hall '-P 3 2"'
_cell_length_a 4.3167
_cell_length_b 4.3167
_cell_length_c 6.8471
_cell_angle_alpha 90.00
_cell_angle_beta 90.00
_cell_angle_gamma 120.00
loop_
_atom_site_label
_atom_site_type_symbol
_atom_site_fract_x
_atom_site_fract_y
_atom_site_fract_z
_atom_site_occupancy
Nd1 Nd 0.0000 0.0000 0.0000 1
Al1 Al 0.3333 0.6667 0.6429 1
Ge1 Ge 0.3333 0.6667 0.2669 1
```

---

(5)
Here is crystalline BaI2 at its relaxed geometry from the Materials Project database. Energies are from GGA-PBE.

Calculated formation energy in eV/atom: -2.045
Total DFT energy (no corrections) in Ry per atom: -0.25342
Largest piezoelectric modulus in C/m²: 0.9

CIF file:
```
data_BaI2
_chemical_formula_sum 'Ba3 I6'
_space_group_name_H-M_alt 'P -6 2 m'
_space_group_IT_number 189
_space_group_name_Hall 'P -6 -2'
_cell_length_a 9.2789
_cell_length_b 9.2789
_cell_length_c 5.2557
_cell_angle_alpha 90.00
_cell_angle_beta 90.00
_cell_angle_gamma 120.00
loop_
_atom_site_label
_atom_site_type_symbol
_atom_site_fract_x
_atom_site_fract_y
_atom_site_fract_z
_atom_site_occupancy
Ba1 Ba 0.0000 0.0000 0.0000 1
Ba2 Ba 0.3333 0.6667 0.5000 1
I1 I 0.0000 0.2566 0.5000 1
I2 I 0.0000 0.5919 0.0000 1
```

---

(6)
Here is crystalline InAg4 at its relaxed geometry from the Materials Project database. Energies are from GGA-PBE.

Calculated formation energy in eV/atom: 0.073
Total DFT energy (no corrections) in Ry per atom: -0.20162
Total magnetization in Bohr magnetons per cell: 0.0

CIF file:
```
data_InAg4
_chemical_formula_sum 'In3 Ag12'
_space_group_name_H-M_alt 'R -3 m'
_space_group_IT_number 166
_space_group_name_Hall '-R 3 2"'
_cell_length_a 3.0474
_cell_length_b 3.0474
_cell_length_c 35.9245
_cell_angle_alpha 90.00
_cell_angle_beta 90.00
_cell_angle_gamma 120.00
loop_
_atom_site_label
_atom_site_type_symbol
_atom_site_fract_x
_atom_site_fract_y
_atom_site_fract_z
_atom_site_occupancy
In1 In 0.0000 0.0000 0.0000 1
Ag1 Ag 0.0000 0.0000 0.1994 1
Ag2 Ag 0.0000 0.0000 0.4027 1
```

---

(7)
Here is crystalline Tb2MgTiO6 at its relaxed geometry from the Materials Project database. Energies are from GGA-PBE.

Calculated formation energy in eV/atom: -3.698
Total DFT energy (no corrections) in Ry per atom: -0.59764
Total magnetization in Bohr magnetons per cell: 0.0

CIF file:
```
data_Tb2MgTiO6
_chemical_formula_sum 'Tb4 Mg2 Ti2 O12'
_space_group_name_H-M_alt 'P 1 21/c 1'
_space_group_IT_number 14
_space_group_name_Hall '-P 2ybc'
_cell_length_a 5.356
_cell_length_b 5.651
_cell_length_c 9.376
_cell_angle_alpha 90.00
_cell_angle_beta 124.41
_cell_angle_gamma 90.00
loop_
_atom_site_label
_atom_site_type_symbol
_atom_site_fract_x
_atom_site_fract_y
_atom_site_fract_z
_atom_site_occupancy
Tb1 Tb 0.229 0.065 0.247 1
Mg1 Mg 0.000 0.000 0.500 1
Ti1 Ti 0.500 0.000 0.000 1
O1 O 0.149 0.190 0.947 1
O2 O 0.249 0.707 0.937 1
O3 O 0.369 0.042 0.757 1
```

---

(8)
Here is crystalline NbZn3 at its relaxed geometry from the Materials Project database. Energies are from GGA-PBE.

Calculated formation energy in eV/atom: -0.164
Total DFT energy (no corrections) in Ry per atom: -0.26709

CIF file:
```
data_NbZn3
_chemical_formula_sum 'Nb1 Zn3'
_space_group_name_H-M_alt 'P m -3 m'
_space_group_IT_number 221
_space_group_name_Hall '-P 4 2 3'
_cell_length_a 3.948
_cell_length_b 3.948
_cell_length_c 3.948
_cell_angle_alpha 90.00
_cell_angle_beta 90.00
_cell_angle_gamma 90.00
loop_
_atom_site_label
_atom_site_type_symbol
_atom_site_fract_x
_atom_site_fract_y
_atom_site_fract_z
_atom_site_occupancy
Nb1 Nb 0.000 0.000 0.000 1
Zn1 Zn 0.000 0.500 0.500 1
```

---

(9)
Here is crystalline Ba2TlSbO6 at its relaxed geometry from the Materials Project database. Energies are from GGA-PBE.

Calculated formation energy in eV/atom: -2.282
Total DFT energy (no corrections) in Ry per atom: -0.43157
Total magnetization in Bohr magnetons per cell: 0.0

CIF file:
```
data_Ba2TlSbO6
_chemical_formula_sum 'Ba8 Tl4 Sb4 O24'
_space_group_name_H-M_alt 'F m -3 m'
_space_group_IT_number 225
_space_group_name_Hall '-F 4 2 3'
_cell_length_a 8.535
_cell_length_b 8.535
_cell_length_c 8.535
_cell_angle_alpha 90.00
_cell_angle_beta 90.00
_cell_angle_gamma 90.00
loop_
_atom_site_label
_atom_site_type_symbol
_atom_site_fract_x
_atom_site_fract_y
_atom_site_fract_z
_atom_site_occupancy
Ba1 Ba 0.250 0.250 0.250 1
Tl1 Tl 0.000 0.000 0.000 1
Sb1 Sb 0.000 0.000 0.500 1
O1 O 0.000 0.000 0.264 1
```

---

(10)
Here is crystalline Rb3ErO3 at its relaxed geometry from the Materials Project database. Energies are from GGA-PBE.

Offset from the most stable computed form in kJ/mol of formula units: 0.0
Calculated formation energy in eV/atom: -2.235
Total DFT energy (no corrections) in Ry per atom: -0.37730

CIF file:
```
data_Rb3ErO3
_chemical_formula_sum 'Rb12 Er4 O12'
_space_group_name_H-M_alt 'P 1 21/c 1'
_space_group_IT_number 14
_space_group_name_Hall '-P 2ybc'
_cell_length_a 7.978
_cell_length_b 7.361
_cell_length_c 11.728
_cell_angle_alpha 90.00
_cell_angle_beta 94.12
_cell_angle_gamma 90.00
loop_
_atom_site_label
_atom_site_type_symbol
_atom_site_fract_x
_atom_site_fract_y
_atom_site_fract_z
_atom_site_occupancy
Rb1 Rb 0.066 0.122 0.155 1
Rb2 Rb 0.359 0.171 0.922 1
Rb3 Rb 0.374 0.696 0.808 1
Er1 Er 0.161 0.588 0.067 1
O1 O 0.106 0.049 0.404 1
O2 O 0.253 0.646 0.542 1
O3 O 0.310 0.060 0.689 1
```

---

(11)
Here is crystalline MoPb3N3 at its relaxed geometry from the Materials Project database. Energies are from GGA-PBE.

Calculated formation energy in eV/atom: 0.205
Total DFT energy (no corrections) in Ry per atom: -0.46697
Total magnetization in Bohr magnetons per cell: 0.0

CIF file:
```
data_MoPb3N3
_chemical_formula_sum 'Mo2 Pb6 N6'
_space_group_name_H-M_alt 'P 1 21/m 1'
_space_group_IT_number 11
_space_group_name_Hall '-P 2yb'
_cell_length_a 8.454
_cell_length_b 5.402
_cell_length_c 8.473
_cell_angle_alpha 90.00
_cell_angle_beta 119.57
_cell_angle_gamma 90.00
loop_
_atom_site_label
_atom_site_type_symbol
_atom_site_fract_x
_atom_site_fract_y
_atom_site_fract_z
_atom_site_occupancy
Mo1 Mo 0.168 0.250 0.335 1
Pb1 Pb 0.086 0.250 0.882 1
Pb2 Pb 0.206 0.750 0.588 1
Pb3 Pb 0.384 0.750 0.296 1
N1 N 0.017 0.750 0.905 1
N2 N 0.110 0.250 0.519 1
N3 N 0.409 0.250 0.390 1
```

---

(12)
Here is crystalline BAsO4 at its relaxed geometry from the Materials Project database. Energies are from GGA-PBE.

Offset from the most stable computed form in kJ/mol of formula units: 0.0
Calculated formation energy in eV/atom: -2.132
Total DFT energy (no corrections) in Ry per atom: -0.50440
Largest piezoelectric modulus in C/m²: 0.6

CIF file:
```
data_BAsO4
_chemical_formula_sum 'B2 As2 O8'
_space_group_name_H-M_alt 'I -4'
_space_group_IT_number 82
_space_group_name_Hall 'I -4'
_cell_length_a 4.586
_cell_length_b 4.586
_cell_length_c 6.878
_cell_angle_alpha 90.00
_cell_angle_beta 90.00
_cell_angle_gamma 90.00
loop_
_atom_site_label
_atom_site_type_symbol
_atom_site_fract_x
_atom_site_fract_y
_atom_site_fract_z
_atom_site_occupancy
B1 B 0.000 0.000 0.000 1
As1 As 0.000 0.500 0.750 1
O1 O 0.155 0.223 0.883 1
```